1.
A relaxed structure of NaNbO3. Source: Materials Project, functional PBE-GGA.

As for the formation energy: -1362 kJ/mol of formula units. The volume is 247 Å³ per cell.

The space group is Pnma (No. 62) and the conventional cell measures 5.612, 7.909 and 5.563 Å, with angles of 90.00, 90.00 and 90.00 degrees. Symmetry generates all atoms from Na at (0.016, 0.250, 0.001), Nb at (0.000, 0.000, 0.500), O at (0.011, 0.750, 0.436) and O at (0.215, 0.533, 0.786).

=====

2.
A relaxed structure of La2MgSnO6. Source: Materials Project, functional PBE-GGA.

As for the formation energy: -3112 kJ/mol of formula units. The volume is 268 Å³ per cell.

The space group is P2_1/c (No. 14) and the conventional cell measures 5.664, 5.826 and 9.882 Å, with angles of 90.00, 124.84 and 90.00 degrees. Symmetry generates all atoms from La at (0.240, 0.050, 0.250), Mg at (0.000, 0.000, 0.500), Sn at (0.500, 0.000, 0.000), O at (0.150, 0.197, 0.951), O at (0.256, 0.701, 0.951) and O at (0.344, 0.032, 0.751).

=====

3.
A relaxed structure of Ni4Mo. Source: Materials Project, functional PBE-GGA.

As for the formation energy: -40 kJ/mol of formula units. The volume is 116 Å³ per cell.

The space group is I4/m (No. 87) and the conventional cell measures 5.721, 5.721 and 3.556 Å, with angles of 90.00, 90.00 and 90.00 degrees. Symmetry generates all atoms from Ni at (0.099, 0.302, 0.000) and Mo at (0.000, 0.000, 0.500).

=====

> What is the volume in the third record?

116 Å³ per cell